First-principles (PBE) data for a relaxed PrSiIr crystal, as listed in Materials Project.

Unit cell a=6.3933 b=6.3933 c=6.3933 alpha=90.00 beta=90.00 gamma=90.00
Space group P2_13 (No. 198)
Asymmetric unit:
Pr 0.1221 0.3779 0.6221 (multiplicity 4)
Si 0.1644 0.1644 0.1644 (multiplicity 4)
Ir 0.0707 0.9293 0.4293 (multiplicity 4)

Results
As for the crystal system: cubic. The total energy is -87.526 eV for the cell shown. The value obtained for the formation energy is -274 kJ/mol of formula units. Its volume is 261.3 Å³ per cell.